[1]
{"formula": "Li3FeOF3", "functional": "GGA+U", "state": "relaxed", "cell": [[-2.521, 4.850, 2.333], [-4.314, -3.369, 2.342], [4.679, -0.994, 7.188]], "species": ["F", "F", "F", "F", "F", "F", "F", "F", "F", "F", "F", "F", "Fe", "Fe", "Fe", "Fe", "Li", "Li", "Li", "Li", "Li", "Li", "Li", "Li", "Li", "Li", "Li", "Li", "O", "O", "O", "O"], "fractional_positions": [[0.997, 0.501, 0.259], [0.003, 0.499, 0.741], [0.997, 0.999, 0.259], [0.723, 0.750, 0.995], [0.777, 0.750, 0.505], [0.497, 0.001, 0.759], [0.277, 0.250, 0.005], [0.503, 0.501, 0.241], [0.503, 0.999, 0.241], [0.223, 0.250, 0.495], [0.003, 0.001, 0.741], [0.497, 0.499, 0.759], [0.000, 0.000, 0.000], [0.500, 0.500, 0.500], [0.500, 0.000, 0.500], [0.000, 0.500, 0.000], [0.500, 0.000, 0.000], [0.750, 0.250, 0.250], [0.250, 0.250, 0.250], [0.250, 0.750, 0.750], [0.250, 0.250, 0.750], [0.750, 0.250, 0.750], [0.250, 0.750, 0.250], [0.750, 0.750, 0.250], [0.500, 0.500, 0.000], [0.000, 0.000, 0.500], [0.750, 0.750, 0.750], [0.000, 0.500, 0.500], [0.219, 0.750, 0.001], [0.781, 0.250, 0.999], [0.281, 0.750, 0.499], [0.719, 0.250, 0.501]], "formation_energy_ev_per_atom": -2.6472, "relative_energy_mev_per_atom": 2, "energy_mp2020_ev_per_atom": -5.758}

***

[2]
{"formula": "Li2FeO2F", "functional": "GGA+U", "state": "relaxed", "cell": [[1.230, -4.176, -2.766], [4.223, 1.781, 2.366], [0.928, -6.468, 6.968]], "species": ["Fe", "Fe", "Fe", "Fe", "O", "O", "O", "O", "O", "O", "O", "O", "Li", "Li", "Li", "Li", "Li", "Li", "Li", "Li", "F", "F", "F", "F"], "fractional_positions": [[0.554, 0.303, 0.894], [0.709, 0.459, 0.580], [0.303, 0.554, 0.394], [0.459, 0.709, 0.080], [0.608, 0.865, 0.245], [0.313, 0.528, 0.930], [0.041, 0.759, 0.429], [0.528, 0.313, 0.430], [0.148, 0.389, 0.245], [0.759, 0.041, 0.929], [0.389, 0.148, 0.745], [0.865, 0.608, 0.745], [0.205, 0.957, 0.588], [0.811, 0.048, 0.394], [0.369, 0.116, 0.274], [0.957, 0.205, 0.088], [0.116, 0.369, 0.774], [0.048, 0.811, 0.894], [0.869, 0.617, 0.260], [0.617, 0.869, 0.760], [0.202, 0.949, 0.080], [0.468, 0.715, 0.581], [0.715, 0.468, 0.081], [0.949, 0.202, 0.580]], "formation_energy_ev_per_atom": -2.2513, "space_group": "Cc, No. 9", "relative_energy_mev_per_atom": 97, "energy_mp2020_ev_per_atom": -6.268}

***

[3]
{"formula": "LiFe3O2F6", "functional": "GGA+U", "state": "relaxed", "cell": [[0.899, 4.227, -3.023], [3.779, -3.389, -1.710], [-5.060, -0.948, -3.177]], "species": ["O", "O", "F", "F", "F", "F", "F", "F", "Fe", "Fe", "Fe", "Li"], "fractional_positions": [[0.374, 0.305, 0.076], [0.103, 0.702, 0.165], [0.614, 0.722, 0.417], [0.901, 0.245, 0.847], [0.328, 0.303, 0.555], [0.896, 0.280, 0.296], [0.637, 0.702, 0.942], [0.155, 0.734, 0.707], [0.247, 0.539, 0.376], [0.743, 0.483, 0.127], [0.260, 0.493, 0.878], [0.010, 0.979, 0.995]], "formation_energy_ev_per_atom": -2.3742, "space_group": "P1, No. 1", "relative_energy_mev_per_atom": 93, "piezo_max_c_m2": 0.3, "energy_mp2020_ev_per_atom": -6.433}

***

[4]
{"formula": "Li2FeO2F", "functional": "GGA+U", "state": "relaxed", "cell": [[4.528, 2.565, 0.000], [-4.528, 2.565, 0.000], [0.000, 1.762, 9.728]], "species": ["O", "O", "O", "O", "O", "O", "O", "O", "Li", "Li", "Li", "Li", "Li", "Li", "Li", "Li", "F", "F", "F", "F", "Fe", "Fe", "Fe", "Fe"], "fractional_positions": [[0.525, 0.701, 0.368], [0.957, 0.764, 0.136], [0.299, 0.475, 0.132], [0.236, 0.043, 0.364], [0.475, 0.299, 0.632], [0.764, 0.957, 0.636], [0.043, 0.236, 0.864], [0.701, 0.525, 0.868], [0.000, 0.500, 0.000], [0.931, 0.069, 0.250], [0.500, 0.000, 0.500], [0.303, 0.181, 0.001], [0.181, 0.303, 0.501], [0.069, 0.931, 0.750], [0.819, 0.697, 0.499], [0.697, 0.819, 0.999], [0.126, 0.624, 0.625], [0.624, 0.126, 0.125], [0.376, 0.874, 0.875], [0.874, 0.376, 0.375], [0.439, 0.561, 0.750], [0.561, 0.439, 0.250], [0.752, 0.248, 0.750], [0.248, 0.752, 0.250]], "formation_energy_ev_per_atom": -2.2506, "space_group": "C2/c, No. 15", "relative_energy_mev_per_atom": 98, "energy_mp2020_ev_per_atom": -6.267}

***

[5]
{"formula": "Li7Fe5OF15", "functional": "GGA+U", "state": "relaxed", "cell": [[-3.843, -9.039, 1.667], [6.100, -0.243, -8.010], [5.738, 2.538, 8.262]], "species": ["F", "F", "F", "F", "F", "F", "F", "F", "F", "F", "F", "F", "F", "F", "F", "F", "F", "F", "F", "F", "F", "F", "F", "F", "F", "F", "F", "F", "F", "F", "Li", "Li", "Li", "Li", "Li", "Li", "Li", "Li", "Li", "Li", "Li", "Li", "Li", "Li", "Fe", "Fe", "Fe", "Fe", "Fe", "Fe", "Fe", "Fe", "Fe", "Fe", "O", "O"], "fractional_positions": [[0.858, 0.123, 0.053], [0.867, 0.948, 0.257], [0.570, 0.893, 0.617], [0.797, 0.558, 0.948], [0.106, 0.672, 0.932], [0.434, 0.938, 0.329], [0.196, 0.617, 0.440], [0.930, 0.311, 0.873], [0.893, 0.020, 0.801], [0.297, 0.939, 0.565], [0.960, 0.780, 0.385], [0.527, 0.411, 0.304], [0.461, 0.384, 0.771], [0.598, 0.335, 0.540], [0.086, 0.708, 0.188], [0.216, 0.592, 0.695], [0.665, 0.626, 0.162], [0.507, 0.948, 0.848], [0.841, 0.473, 0.401], [0.378, 0.073, 0.124], [0.424, 0.546, 0.610], [0.046, 0.921, 0.098], [0.734, 0.668, 0.563], [0.439, 0.807, 0.058], [0.743, 0.879, 0.440], [0.062, 0.299, 0.446], [0.589, 0.183, 0.743], [0.446, 0.259, 0.963], [0.283, 0.461, 0.901], [0.177, 0.237, 0.039], [0.257, 0.633, 0.893], [0.645, 0.392, 0.749], [0.515, 0.007, 0.046], [0.981, 0.528, 0.980], [0.888, 0.146, 0.250], [0.740, 0.858, 0.613], [0.008, 0.058, 0.015], [0.373, 0.251, 0.107], [0.969, 0.983, 0.470], [0.136, 0.749, 0.387], [0.482, 0.005, 0.533], [0.540, 0.491, 0.511], [0.488, 0.464, 0.976], [0.046, 0.487, 0.482], [0.386, 0.742, 0.646], [0.734, 0.109, 0.855], [0.244, 0.371, 0.643], [0.882, 0.755, 0.140], [0.238, 0.872, 0.130], [0.746, 0.619, 0.366], [0.631, 0.924, 0.273], [0.343, 0.138, 0.730], [0.641, 0.267, 0.357], [0.091, 0.233, 0.833], [0.691, 0.117, 0.255], [0.144, 0.161, 0.662]], "formation_energy_ev_per_atom": -2.6220, "space_group": "P1, No. 1", "energy_mp2020_ev_per_atom": -5.814}

***

[6]
{"formula": "LiFe4OF7", "functional": "GGA+U", "state": "relaxed", "cell": [[5.084, 0.000, 0.000], [0.000, 8.091, 0.000], [0.000, 2.109, 7.812]], "species": ["Fe", "Fe", "Fe", "Fe", "Fe", "Fe", "Fe", "Fe", "F", "F", "F", "F", "F", "F", "F", "F", "F", "F", "F", "F", "F", "F", "Li", "Li", "O", "O"], "fractional_positions": [[0.523, 0.682, 0.961], [0.463, 0.452, 0.685], [0.514, 0.899, 0.227], [0.996, 0.806, 0.579], [0.023, 0.318, 0.039], [0.963, 0.548, 0.315], [0.496, 0.194, 0.421], [0.014, 0.101, 0.773], [0.204, 0.044, 0.566], [0.696, 0.464, 0.910], [0.664, 0.216, 0.658], [0.806, 0.082, 0.031], [0.305, 0.684, 0.727], [0.704, 0.956, 0.434], [0.196, 0.536, 0.090], [0.306, 0.918, 0.969], [0.780, 0.585, 0.550], [0.164, 0.784, 0.342], [0.325, 0.134, 0.203], [0.280, 0.415, 0.450], [0.825, 0.866, 0.797], [0.805, 0.316, 0.273], [0.002, 0.870, 0.105], [0.502, 0.130, 0.895], [0.214, 0.284, 0.833], [0.714, 0.716, 0.167]], "formation_energy_ev_per_atom": -2.4423, "space_group": "P2_1, No. 4", "energy_mp2020_ev_per_atom": -6.607}

***

[7]
{"formula": "Li4FeO3F", "functional": "GGA+U", "state": "relaxed", "cell": [[-5.296, 0.816, 1.751], [-2.018, -3.158, -4.212], [0.343, -5.111, 3.594]], "species": ["Li", "Li", "Li", "Li", "Li", "Li", "Li", "Li", "O", "O", "O", "O", "O", "O", "Fe", "Fe", "F", "F"], "fractional_positions": [[0.828, 0.824, 0.499], [0.323, 0.644, 0.716], [0.143, 0.393, 0.986], [0.393, 0.143, 0.486], [0.031, 0.144, 0.305], [0.644, 0.323, 0.216], [0.144, 0.031, 0.805], [0.824, 0.828, 0.999], [0.166, 0.749, 0.985], [0.292, 0.354, 0.261], [0.354, 0.292, 0.761], [0.860, 0.188, 0.986], [0.188, 0.860, 0.486], [0.749, 0.166, 0.485], [0.300, 0.683, 0.251], [0.683, 0.300, 0.751], [0.693, 0.665, 0.744], [0.665, 0.693, 0.244]], "formation_energy_ev_per_atom": -2.1673, "space_group": "Cc, No. 9", "relative_energy_mev_per_atom": 24, "energy_mp2020_ev_per_atom": -5.819}

***

[8]
{"formula": "Li3FeOF3", "functional": "GGA+U", "state": "relaxed", "cell": [[-3.204, -3.954, -3.335], [2.237, -3.900, 2.475], [-6.239, -1.343, 7.586]], "species": ["F", "F", "F", "F", "F", "F", "F", "F", "F", "F", "F", "F", "Li", "Li", "Li", "Li", "Li", "Li", "Li", "Li", "Li", "Li", "Li", "Li", "O", "O", "O", "O", "Fe", "Fe", "Fe", "Fe"], "fractional_positions": [[0.607, 0.372, 0.621], [0.853, 0.389, 0.119], [0.147, 0.611, 0.881], [0.626, 0.122, 0.370], [0.374, 0.122, 0.870], [0.853, 0.611, 0.381], [0.393, 0.628, 0.379], [0.374, 0.878, 0.630], [0.607, 0.628, 0.879], [0.626, 0.878, 0.130], [0.393, 0.372, 0.121], [0.147, 0.389, 0.619], [0.632, 0.751, 0.507], [0.365, 0.000, 0.250], [0.635, 0.000, 0.750], [0.877, 0.782, 0.004], [0.384, 0.500, 0.750], [0.123, 0.218, 0.996], [0.123, 0.782, 0.504], [0.632, 0.249, 0.993], [0.368, 0.751, 0.007], [0.616, 0.500, 0.250], [0.368, 0.249, 0.493], [0.877, 0.218, 0.496], [0.873, 0.140, 0.869], [0.873, 0.860, 0.631], [0.127, 0.140, 0.369], [0.127, 0.860, 0.131], [0.102, 0.000, 0.750], [0.868, 0.500, 0.750], [0.898, 0.000, 0.250], [0.132, 0.500, 0.250]], "formation_energy_ev_per_atom": -2.6432, "space_group": "P2/c, No. 13", "relative_energy_mev_per_atom": 6, "energy_mp2020_ev_per_atom": -5.754}

***

[9]
{"formula": "Li7FeO4F2", "functional": "GGA+U", "state": "relaxed", "cell": [[-5.527, 0.000, 0.000], [2.718, 5.231, 0.000], [-0.296, -2.831, -9.529]], "species": ["O", "O", "O", "O", "O", "O", "O", "O", "Li", "Li", "Li", "Li", "Li", "Li", "Li", "Li", "Li", "Li", "Li", "Li", "Li", "Li", "F", "F", "F", "F", "Fe", "Fe"], "fractional_positions": [[0.735, 0.671, 0.112], [0.168, 0.774, 0.961], [0.243, 0.325, 0.900], [0.787, 0.877, 0.380], [0.214, 0.463, 0.298], [0.331, 0.690, 0.536], [0.301, 0.053, 0.197], [0.676, 0.328, 0.446], [0.024, 0.928, 0.773], [0.536, 0.331, 0.044], [0.438, 0.531, 0.732], [0.968, 0.212, 0.459], [0.024, 0.738, 0.558], [0.968, 0.442, 0.881], [0.468, 0.722, 0.942], [0.535, 0.057, 0.618], [0.521, 0.851, 0.176], [0.497, 0.395, 0.249], [0.009, 0.525, 0.122], [0.495, 0.995, 0.385], [0.986, 0.656, 0.324], [0.027, 0.120, 0.250], [0.799, 0.569, 0.708], [0.681, 0.914, 0.793], [0.806, 0.205, 0.066], [0.207, 0.099, 0.611], [0.496, 0.545, 0.456], [0.061, 0.982, 0.023]], "formation_energy_ev_per_atom": -1.6365, "space_group": "P1, No. 1", "relative_energy_mev_per_atom": 631, "energy_mp2020_ev_per_atom": -4.883}

***

[10]
{"formula": "LiFe2O2F3", "functional": "GGA+U", "state": "relaxed", "cell": [[2.589, 4.996, 0.000], [-2.589, 4.996, 0.000], [0.000, 2.700, 6.503]], "species": ["O", "O", "O", "O", "F", "F", "F", "F", "F", "F", "Fe", "Fe", "Fe", "Fe", "Li", "Li"], "fractional_positions": [[0.280, 0.559, 0.937], [0.441, 0.720, 0.563], [0.559, 0.280, 0.437], [0.720, 0.441, 0.063], [0.954, 0.649, 0.659], [0.205, 0.795, 0.250], [0.795, 0.205, 0.750], [0.351, 0.046, 0.841], [0.046, 0.351, 0.341], [0.649, 0.954, 0.159], [0.396, 0.377, 0.200], [0.377, 0.396, 0.700], [0.604, 0.623, 0.800], [0.623, 0.604, 0.300], [0.000, 0.000, 0.500], [0.000, 0.000, 0.000]], "formation_energy_ev_per_atom": -1.9128, "space_group": "C2/c, No. 15", "relative_energy_mev_per_atom": 413, "energy_mp2020_ev_per_atom": -6.224}

***

[11]
{"formula": "Li2Fe4O3F8", "functional": "GGA+U", "state": "relaxed", "cell": [[-2.163, -5.652, 2.824], [6.809, -0.389, -0.748], [-0.776, 3.005, 4.024]], "species": ["F", "F", "F", "F", "F", "F", "F", "F", "Fe", "Fe", "Fe", "Fe", "O", "O", "O", "Li", "Li"], "fractional_positions": [[0.255, 0.804, 0.358], [0.522, 0.628, 0.711], [0.338, 0.054, 0.796], [0.801, 0.486, 0.116], [0.199, 0.514, 0.884], [0.478, 0.372, 0.289], [0.662, 0.946, 0.204], [0.745, 0.196, 0.642], [0.028, 0.091, 0.750], [0.241, 0.655, 0.622], [0.759, 0.345, 0.378], [0.972, 0.909, 0.250], [0.050, 0.264, 0.472], [0.950, 0.736, 0.528], [0.000, 0.000, 0.000], [0.609, 0.337, 0.821], [0.391, 0.663, 0.179]], "formation_energy_ev_per_atom": -1.6167, "space_group": "P-1, No. 2", "relative_energy_mev_per_atom": 817, "energy_mp2020_ev_per_atom": -5.608}

***

[12]
{"formula": "LiFe2O2F3", "functional": "GGA+U", "state": "relaxed", "cell": [[1.918, -4.966, 0.000], [1.918, 4.966, 0.000], [0.000, 0.000, 10.224]], "species": ["F", "F", "F", "F", "F", "F", "Fe", "Fe", "Fe", "Fe", "O", "O", "O", "O", "Li", "Li"], "fractional_positions": [[0.959, 0.041, 0.116], [0.765, 0.235, 0.750], [0.959, 0.041, 0.384], [0.235, 0.765, 0.250], [0.041, 0.959, 0.884], [0.041, 0.959, 0.616], [0.848, 0.152, 0.557], [0.152, 0.848, 0.057], [0.848, 0.152, 0.943], [0.152, 0.848, 0.443], [0.313, 0.687, 0.936], [0.687, 0.313, 0.064], [0.687, 0.313, 0.436], [0.313, 0.687, 0.564], [0.185, 0.815, 0.750], [0.815, 0.185, 0.250]], "formation_energy_ev_per_atom": -2.3190, "space_group": "Cmcm, No. 63", "relative_energy_mev_per_atom": 7, "energy_mp2020_ev_per_atom": -6.630}

***

[13]
{"formula": "LiFeOF", "functional": "GGA+U", "state": "relaxed", "cell": [[0.005, -0.046, -4.164], [0.010, -4.294, -0.045], [-4.516, -0.008, -0.007]], "species": ["Li", "Li", "F", "F", "Fe", "Fe", "O", "O"], "fractional_positions": [[0.258, 0.757, 0.750], [0.758, 0.257, 0.750], [0.258, 0.258, 0.745], [0.758, 0.758, 0.745], [0.758, 0.758, 0.246], [0.258, 0.258, 0.246], [0.758, 0.258, 0.243], [0.258, 0.758, 0.243]], "formation_energy_ev_per_atom": -2.2336, "relative_energy_mev_per_atom": 14, "energy_mp2020_ev_per_atom": -6.544}

***

[14]
{"formula": "LiFe7O7F", "functional": "GGA+U", "state": "relaxed", "cell": [[1.825, -3.059, 0.000], [1.825, 3.059, 0.000], [0.000, 0.000, 17.730]], "species": ["O", "O", "O", "O", "O", "O", "O", "Fe", "Fe", "Fe", "Fe", "Fe", "Fe", "Fe", "F", "Li"], "fractional_positions": [[0.665, 0.335, 0.621], [0.665, 0.335, 0.379], [0.671, 0.329, 0.125], [0.320, 0.680, 0.000], [0.317, 0.683, 0.251], [0.671, 0.329, 0.875], [0.317, 0.683, 0.749], [0.343, 0.657, 0.875], [0.334, 0.666, 0.376], [0.671, 0.329, 0.251], [0.674, 0.326, 0.000], [0.334, 0.666, 0.624], [0.671, 0.329, 0.749], [0.343, 0.657, 0.125], [0.330, 0.670, 0.500], [0.671, 0.329, 0.500]], "formation_energy_ev_per_atom": -1.6259, "space_group": "Amm2, No. 38", "energy_mp2020_ev_per_atom": -7.735}